[1]
DFT (PBE+U) results for LiFe8O14F2 after structural relaxation.

```
LiFe8O14F2
1.0
1.626 6.260 -3.292
-0.140 -2.103 -7.029
-5.234 0.257 2.020
Li Fe O F
1 8 14 2
direct
0.745 0.738 0.973
0.753 0.238 0.504
0.496 0.016 0.984
0.249 0.263 0.525
0.748 0.766 0.483
0.505 0.494 0.013
0.992 0.003 0.001
0.248 0.756 0.504
0.027 0.481 0.032
0.983 0.183 0.351
0.935 0.227 0.849
0.572 0.272 0.166
0.315 0.030 0.657
0.527 0.324 0.673
0.777 0.564 0.164
0.720 0.933 0.815
0.237 0.436 0.871
0.485 0.681 0.343
0.678 0.968 0.299
0.193 0.481 0.376
0.439 0.747 0.847
0.060 0.768 0.157
0.016 0.825 0.654
0.820 0.531 0.678
0.275 0.074 0.163
```

Results
**Energy of formation**: -1.529 eV per atom
**SG**: P1

[2]
DFT (PBE+U) results for Ca2Ta2FeO8 after structural relaxation.

```
Ca2Ta2FeO8
1.0
5.443 -0.024 -0.104
-0.010 6.191 -1.901
-0.154 -0.297 10.056
Ca Ta Fe O
4 4 2 16
direct
0.756 0.458 0.581
0.744 0.876 0.418
0.244 0.540 0.418
0.255 0.122 0.581
0.743 0.258 0.226
0.756 0.032 0.773
0.256 0.741 0.773
0.243 0.966 0.226
0.250 0.354 0.999
0.750 0.643 0.000
0.074 0.189 0.142
0.425 0.047 0.858
0.925 0.809 0.857
0.574 0.951 0.142
0.575 0.404 0.116
0.924 0.287 0.883
0.424 0.594 0.883
0.075 0.710 0.116
0.484 0.245 0.365
0.016 0.881 0.634
0.984 0.117 0.365
0.516 0.753 0.635
0.338 0.843 0.371
0.161 0.472 0.628
0.661 0.155 0.628
0.838 0.526 0.371
```

Results
**Energy of formation**: -3.107 eV per atom
**SG**: C2

[3]
DFT (PBE+U) results for CaV6O11F after structural relaxation.

```
CaV6O11F
1.0
-0.677 -1.248 -5.081
-1.243 -4.326 2.757
-8.248 2.627 0.430
Ca V O F
1 6 11 1
direct
0.314 0.686 0.333
0.997 0.001 0.008
0.973 0.027 0.334
0.999 0.003 0.659
0.592 0.405 0.139
0.392 0.608 0.833
0.594 0.408 0.528
0.141 0.857 0.148
0.144 0.859 0.518
0.176 0.824 0.833
0.289 0.333 0.993
0.343 0.266 0.332
0.289 0.336 0.673
0.664 0.711 0.994
0.734 0.657 0.334
0.668 0.711 0.674
0.819 0.179 0.161
0.821 0.180 0.506
0.841 0.158 0.834
```

Results
**Energy of formation**: -2.504 eV per atom
**SG**: P1

[4]
DFT (PBE+U) results for Li8Mn3Fe5B8O24 after structural relaxation.

```
Li8Mn3Fe5B8O24
1.0
-1.236 -5.075 -0.115
3.285 1.961 -3.569
15.780 -3.877 12.925
Li Mn Fe B O
8 3 5 8 24
direct
0.349 0.323 0.666
0.322 0.348 0.916
0.347 0.321 0.166
0.321 0.348 0.416
0.663 0.654 0.792
0.651 0.661 0.541
0.664 0.651 0.291
0.652 0.664 0.041
0.995 0.327 0.559
0.998 0.678 0.433
0.677 0.999 0.183
0.003 0.330 0.058
0.006 0.681 0.933
0.674 0.990 0.685
0.323 0.995 0.809
0.329 0.004 0.308
0.660 0.002 0.937
0.659 0.003 0.436
0.995 0.332 0.812
0.994 0.332 0.312
0.004 0.661 0.687
0.003 0.660 0.187
0.334 0.994 0.563
0.331 0.993 0.062
0.748 0.070 0.792
0.747 0.066 0.292
0.928 0.258 0.952
0.415 0.026 0.917
0.932 0.252 0.452
0.423 0.037 0.416
0.971 0.582 0.827
0.363 0.271 0.570
0.969 0.580 0.326
0.351 0.268 0.068
0.270 0.352 0.819
0.268 0.352 0.318
0.730 0.638 0.694
0.725 0.627 0.194
0.636 0.728 0.944
0.027 0.418 0.668
0.625 0.726 0.444
0.037 0.424 0.166
0.575 0.957 0.579
0.580 0.969 0.076
0.068 0.753 0.541
0.066 0.746 0.042
0.258 0.933 0.702
0.252 0.933 0.203
```

Results
**Energy of formation**: -2.397 eV per atom
**SG**: P1

Repeat the first record exactly.
DFT (PBE+U) results for LiFe8O14F2 after structural relaxation.

```
LiFe8O14F2
1.0
1.626 6.260 -3.292
-0.140 -2.103 -7.029
-5.234 0.257 2.020
Li Fe O F
1 8 14 2
direct
0.745 0.738 0.973
0.753 0.238 0.504
0.496 0.016 0.984
0.249 0.263 0.525
0.748 0.766 0.483
0.505 0.494 0.013
0.992 0.003 0.001
0.248 0.756 0.504
0.027 0.481 0.032
0.983 0.183 0.351
0.935 0.227 0.849
0.572 0.272 0.166
0.315 0.030 0.657
0.527 0.324 0.673
0.777 0.564 0.164
0.720 0.933 0.815
0.237 0.436 0.871
0.485 0.681 0.343
0.678 0.968 0.299
0.193 0.481 0.376
0.439 0.747 0.847
0.060 0.768 0.157
0.016 0.825 0.654
0.820 0.531 0.678
0.275 0.074 0.163
```

Results
**Energy of formation**: -1.529 eV per atom
**SG**: P1

- Which of these has the lowest energy of formation?
  Ca2Ta2FeO8

What did the third record say?
DFT (PBE+U) results for CaV6O11F after structural relaxation.

```
CaV6O11F
1.0
-0.677 -1.248 -5.081
-1.243 -4.326 2.757
-8.248 2.627 0.430
Ca V O F
1 6 11 1
direct
0.314 0.686 0.333
0.997 0.001 0.008
0.973 0.027 0.334
0.999 0.003 0.659
0.592 0.405 0.139
0.392 0.608 0.833
0.594 0.408 0.528
0.141 0.857 0.148
0.144 0.859 0.518
0.176 0.824 0.833
0.289 0.333 0.993
0.343 0.266 0.332
0.289 0.336 0.673
0.664 0.711 0.994
0.734 0.657 0.334
0.668 0.711 0.674
0.819 0.179 0.161
0.821 0.180 0.506
0.841 0.158 0.834
```

Results
**Energy of formation**: -2.504 eV per atom
**SG**: P1

- Which formula does entry 2 have?
  Ca2Ta2FeO8